VASP calculation (PBE) on an optimized crystal structure of SrMgPb.

The structure in POSCAR format:
```
SrMgPb
1.0
-0.6030 4.1758 -2.7292
6.3813 -2.2419 -4.8401
-5.7117 -4.4113 -5.4873
Sr Mg Pb
4 4 4
Cartesian
4.7810 0.0832 -7.8678
0.8884 0.6620 -6.1221
-4.7145 -2.5605 -5.1888
-0.8219 -3.1393 -6.9345
1.7685 -1.2836 -9.2934
-3.5192 -1.7823 -8.8880
-1.7020 -1.1937 -3.7632
3.5857 -0.6950 -4.1686
-2.5119 -0.0534 -6.4653
-0.9314 -2.4179 -10.4323
2.5783 -2.4239 -6.5913
0.9979 -0.0594 -2.6243
```

Values from the calculation:
For the formation energy, the calculation gives -0.45 eV/atom. The symmetry is No. 62. The calculation puts the calculated total energy at -33.5 eV for the cell shown.

---

VASP calculation (PBE) on an optimized crystal structure of OsCl4.

The structure in POSCAR format:
```
OsCl4
1.0
4.1883 -4.5339 0.0000
4.1883 4.5339 0.0000
0.0000 0.0000 3.6294
Os Cl
1 4
Cartesian
0.0000 0.0000 0.0000
2.2733 0.0000 0.0000
4.1883 2.9697 1.8147
4.1883 -2.9697 1.8147
6.1033 0.0000 0.0000
```

Values from the calculation:
For the formation energy, the calculation gives -0.88 eV/atom. The symmetry is No. 65. The calculation puts the calculated total energy at -20.5 eV for the cell shown.

---

VASP calculation (PBE) on an optimized crystal structure of PaNi.

The structure in POSCAR format:
```
PaNi
1.0
3.7413 -1.8001 0.0000
3.7413 1.8001 0.0000
2.8753 0.0000 2.9951
Pa Ni
1 1
Cartesian
5.1789 0.0000 1.4975
0.0000 0.0000 0.0000
```

Values from the calculation:
Its size of the total moment is 0.29 Bohr magnetons per cell. For the formation energy, the calculation gives -0.09 eV/atom. The symmetry is No. 166. The calculation puts the calculated total energy at -15.5 eV for the cell shown.

---

VASP calculation (PBE) on an optimized crystal structure of Ta2V4Si5.

The structure in POSCAR format:
```
Ta2V4Si5
1.0
2.1196 6.3098 6.5898
-0.7219 9.2014 -1.5951
-4.2093 -8.3596 0.3608
Ta V Si
4 8 10
Cartesian
-0.2703 10.8916 3.1308
-2.0140 2.1111 4.1088
-2.5413 -3.7400 2.2247
-0.7976 5.0405 1.2467
-2.0177 2.8989 -0.7165
0.0894 6.2431 3.9008
-2.7667 5.1569 3.8159
-0.0449 1.9947 1.5396
-1.3380 7.6824 -0.1695
-1.4735 -0.5308 5.5249
-2.9009 0.9084 1.4546
-0.7939 4.2527 6.0720
0.5864 8.4924 3.4492
-3.5083 -4.7180 0.0441
-2.5825 3.2603 1.7865
-0.2291 3.8913 3.5690
-1.2328 0.2104 -0.3086
-3.6984 0.6313 -0.9257
0.6968 11.8695 5.3114
-0.7649 0.0968 3.1219
-3.3979 -1.3408 1.9063
-2.0467 7.0547 2.2336
```

Values from the calculation:
For the formation energy, the calculation gives -0.35 eV/atom. The symmetry is No. 72. The calculation puts the calculated total energy at -182.9 eV for the cell shown.

---

VASP calculation (PBE) on an optimized crystal structure of CdB6H12N4O10.

The structure in POSCAR format:
```
CdB6H12N4O10
1.0
-4.9591 0.0000 -4.4800
4.9591 0.0000 -4.4800
0.0000 -11.9910 4.4800
Cd B H N O
2 12 24 8 20
Cartesian
-2.4796 -5.9955 -3.4864
0.0000 0.0000 -5.7264
-0.5065 -6.2649 -1.2025
0.5065 -5.7261 -5.6825
-1.9730 -0.2694 -3.4425
1.9730 -11.7216 1.0375
0.8650 -6.6325 -3.3946
-0.8650 -5.3585 1.0854
-3.3445 -0.6370 -5.6346
3.3445 -11.3540 -1.1546
-2.7437 -7.6230 -0.8057
-2.2154 -4.3680 -0.8057
0.2641 -1.6275 -3.0457
-0.2641 -10.3635 1.4343
-3.9529 -9.5035 -0.7150
-1.0062 -2.4875 -0.7150
1.4734 -3.5080 -2.9550
-1.4734 -8.4830 1.5250
-2.3467 -9.7928 -0.4254
2.3467 -2.1982 -4.9054
-0.1329 -3.7973 -2.6654
0.1329 -8.1937 1.8146
-2.9287 -9.5380 -1.9565
-2.0304 -2.4530 -1.9565
0.4491 -3.5425 -4.1965
-0.4491 -8.4485 0.2835
2.1698 -8.7715 0.1639
-2.1698 -3.2195 -4.3161
0.3098 -2.7760 -6.5561
-0.3098 -9.2150 -2.0761
3.5311 -8.0635 -0.4868
1.4280 -3.9275 -0.4868
-1.0515 -2.0680 -7.2068
1.0515 -9.9230 -2.7268
2.0155 -7.6259 -1.0668
2.9436 -4.3651 -1.0668
0.4640 -1.6304 -7.7868
-0.4640 -10.3606 -3.3068
-3.0040 -9.2056 -0.9781
-1.9552 -2.7854 -0.9781
0.5244 -3.2101 -3.2181
-0.5244 -8.7808 1.2619
2.5602 -7.9063 -0.2325
-2.5602 -4.0847 -4.7125
-0.0806 -1.9108 -6.9525
0.0806 -10.0802 -2.4725
-1.2571 -5.0665 -1.6975
-3.7021 -6.9245 -1.6975
-1.2225 -11.0620 0.5425
1.2225 -0.9290 -3.9375
0.6729 -6.5697 -2.0364
4.2862 -5.4213 -2.0364
-3.1525 -0.5742 -4.2764
3.1525 -11.4168 0.2036
-1.3549 -7.4736 -1.2068
1.3549 -4.5174 -5.6868
-1.1246 -1.4781 -3.4468
1.1246 -10.5129 1.0332
-0.0066 -5.9739 0.1867
0.0066 -6.0171 -4.2933
2.4862 -11.9694 -2.0533
-2.4862 -0.0216 -6.5333
1.9471 -7.3647 -3.8553
3.0121 -4.6263 -3.8553
0.5325 -1.3692 -1.6153
-0.5325 -10.6218 2.8647
```

Values from the calculation:
Its size of the total moment is 0.00 Bohr magnetons per cell. For the formation energy, the calculation gives -1.59 eV/atom. The symmetry is No. 43. The calculation puts the calculated total energy at -420.1 eV for the cell shown.

---

VASP calculation (PBE) on an optimized crystal structure of Zr2CuH5.

The structure in POSCAR format:
```
Zr2CuH5
1.0
1.8250 5.4389 0.0000
-1.8250 5.4389 0.0000
0.0000 4.5439 6.9297
Zr Cu H
4 2 10
Cartesian
0.0000 13.8331 5.8456
0.0000 1.5887 1.0841
0.0000 6.1559 3.9778
0.0000 9.2658 2.9519
0.0000 10.6333 5.8837
0.0000 4.7885 1.0460
0.0000 11.3298 2.9350
0.0000 4.0920 3.9947
0.0000 7.3044 2.2733
0.0000 8.1173 4.6563
0.0000 7.5328 0.1351
0.0000 7.8890 6.7946
0.0000 12.0660 4.8707
0.0000 3.3558 2.0590
0.0000 5.1917 5.9584
0.0000 10.2300 0.9713
```

Values from the calculation:
Its size of the total moment is 0.00 Bohr magnetons per cell. For the formation energy, the calculation gives -0.48 eV/atom. The symmetry is No. 12. The calculation puts the calculated total energy at -82.2 eV for the cell shown.

---

What did the fifth record say?
VASP calculation (PBE) on an optimized crystal structure of CdB6H12N4O10.

The structure in POSCAR format:
```
CdB6H12N4O10
1.0
-4.9591 0.0000 -4.4800
4.9591 0.0000 -4.4800
0.0000 -11.9910 4.4800
Cd B H N O
2 12 24 8 20
Cartesian
-2.4796 -5.9955 -3.4864
0.0000 0.0000 -5.7264
-0.5065 -6.2649 -1.2025
0.5065 -5.7261 -5.6825
-1.9730 -0.2694 -3.4425
1.9730 -11.7216 1.0375
0.8650 -6.6325 -3.3946
-0.8650 -5.3585 1.0854
-3.3445 -0.6370 -5.6346
3.3445 -11.3540 -1.1546
-2.7437 -7.6230 -0.8057
-2.2154 -4.3680 -0.8057
0.2641 -1.6275 -3.0457
-0.2641 -10.3635 1.4343
-3.9529 -9.5035 -0.7150
-1.0062 -2.4875 -0.7150
1.4734 -3.5080 -2.9550
-1.4734 -8.4830 1.5250
-2.3467 -9.7928 -0.4254
2.3467 -2.1982 -4.9054
-0.1329 -3.7973 -2.6654
0.1329 -8.1937 1.8146
-2.9287 -9.5380 -1.9565
-2.0304 -2.4530 -1.9565
0.4491 -3.5425 -4.1965
-0.4491 -8.4485 0.2835
2.1698 -8.7715 0.1639
-2.1698 -3.2195 -4.3161
0.3098 -2.7760 -6.5561
-0.3098 -9.2150 -2.0761
3.5311 -8.0635 -0.4868
1.4280 -3.9275 -0.4868
-1.0515 -2.0680 -7.2068
1.0515 -9.9230 -2.7268
2.0155 -7.6259 -1.0668
2.9436 -4.3651 -1.0668
0.4640 -1.6304 -7.7868
-0.4640 -10.3606 -3.3068
-3.0040 -9.2056 -0.9781
-1.9552 -2.7854 -0.9781
0.5244 -3.2101 -3.2181
-0.5244 -8.7808 1.2619
2.5602 -7.9063 -0.2325
-2.5602 -4.0847 -4.7125
-0.0806 -1.9108 -6.9525
0.0806 -10.0802 -2.4725
-1.2571 -5.0665 -1.6975
-3.7021 -6.9245 -1.6975
-1.2225 -11.0620 0.5425
1.2225 -0.9290 -3.9375
0.6729 -6.5697 -2.0364
4.2862 -5.4213 -2.0364
-3.1525 -0.5742 -4.2764
3.1525 -11.4168 0.2036
-1.3549 -7.4736 -1.2068
1.3549 -4.5174 -5.6868
-1.1246 -1.4781 -3.4468
1.1246 -10.5129 1.0332
-0.0066 -5.9739 0.1867
0.0066 -6.0171 -4.2933
2.4862 -11.9694 -2.0533
-2.4862 -0.0216 -6.5333
1.9471 -7.3647 -3.8553
3.0121 -4.6263 -3.8553
0.5325 -1.3692 -1.6153
-0.5325 -10.6218 2.8647
```

Values from the calculation:
Its size of the total moment is 0.00 Bohr magnetons per cell. For the formation energy, the calculation gives -1.59 eV/atom. The symmetry is No. 43. The calculation puts the calculated total energy at -420.1 eV for the cell shown.